DFT (PBE) results for ErFe6Sn6 after structural relaxation.

Values from the calculation:
Crystal system: orthorhombic
Calculated formation energy, eV per atom: -0.1433
DFT total energy, eV for the cell shown: -650.5

a b c (Å): 8.9549 37.3495 5.4160
angles (deg): 90.00 90.00 90.00
Space group Cmcm (No. 63)
Asymmetric unit:
Er 0.0000 0.0632 0.2500 (multiplicity 4)
Er 0.0000 0.1900 0.7500 (multiplicity 4)
Fe 0.2453 0.0626 0.7500 (multiplicity 8)
Fe 0.2458 0.0000 0.0000 (multiplicity 8)
Fe 0.2458 0.1246 0.0012 (multiplicity 16)
Fe 0.2478 0.1876 0.2500 (multiplicity 8)
Fe 0.2500 0.2500 0.0000 (multiplicity 8)
Sn 0.0000 0.0210 0.7500 (multiplicity 4)
Sn 0.0000 0.1053 0.7500 (multiplicity 4)
Sn 0.0000 0.1471 0.2500 (multiplicity 4)
Sn 0.0000 0.2310 0.2500 (multiplicity 4)
Sn 0.0000 0.2731 0.7500 (multiplicity 4)
Sn 0.0000 0.3554 0.7500 (multiplicity 4)
Sn 0.0000 0.3961 0.2500 (multiplicity 4)
Sn 0.0000 0.4793 0.2500 (multiplicity 4)
Sn 0.1632 0.3133 0.2500 (multiplicity 8)
Sn 0.1633 0.4380 0.7500 (multiplicity 8)

---

DFT (PBE) results for Mn2N after structural relaxation.

Values from the calculation:
Crystal system: trigonal
Calculated formation energy, eV per atom: -0.3336
DFT total energy, eV for the cell shown: -27.3

a b c (Å): 2.8243 2.8243 4.4017
angles (deg): 90.00 90.00 120.00
Space group P-3m1 (No. 164)
Asymmetric unit:
Mn 0.3333 0.6667 0.2452 (multiplicity 2)
N 0.0000 0.0000 0.5000 (multiplicity 1)